# VO2

A relaxed VO2 crystal (PBE+U, Materials Project).

```
data_VO2
_chemical_formula_sum 'V16 O32'
_cell_length_a 5.884
_cell_length_b 5.890
_cell_length_c 19.455
_cell_angle_alpha 90.63
_cell_angle_beta 98.44
_cell_angle_gamma 117.73
_symmetry_space_group_name_H-M 'P 1'
_symmetry_Int_Tables_number 1
loop_
_symmetry_equiv_pos_as_xyz
'x,y,z'
loop_
_atom_site_label
_atom_site_type_symbol
_atom_site_fract_x
_atom_site_fract_y
_atom_site_fract_z
V1 V 0.000 0.000 0.000
V2 V 0.000 0.242 0.246
V3 V 0.006 0.771 0.747
V4 V 0.062 0.529 0.091
V5 V 0.228 0.630 0.359
V6 V 0.427 0.727 0.653
V7 V 0.439 0.219 0.157
V8 V 0.499 0.250 0.755
V9 V 0.501 0.500 0.000
V10 V 0.505 0.747 0.246
V11 V 0.518 0.028 0.493
V12 V 0.563 0.781 0.845
V13 V 0.725 0.359 0.616
V14 V 0.926 0.978 0.404
V15 V 0.940 0.469 0.905
V16 V 0.988 0.500 0.501
O1 O 0.097 0.782 0.937
O2 O 0.098 0.321 0.435
O3 O 0.107 0.578 0.683
O4 O 0.128 0.052 0.708
O5 O 0.133 0.311 0.943
O6 O 0.134 0.550 0.183
O7 O 0.136 0.804 0.435
O8 O 0.156 0.086 0.189
O9 O 0.349 0.661 0.060
O10 O 0.350 0.457 0.309
O11 O 0.358 0.709 0.559
O12 O 0.360 0.891 0.312
O13 O 0.368 0.196 0.063
O14 O 0.368 0.930 0.808
O15 O 0.401 0.467 0.813
O16 O 0.421 0.203 0.565
O17 O 0.603 0.071 0.684
O18 O 0.603 0.534 0.189
O19 O 0.610 0.821 0.433
O20 O 0.626 0.290 0.445
O21 O 0.632 0.065 0.195
O22 O 0.635 0.806 0.939
O23 O 0.636 0.562 0.689
O24 O 0.656 0.341 0.937
O25 O 0.845 0.909 0.813
O26 O 0.857 0.197 0.557
O27 O 0.864 0.947 0.310
O28 O 0.866 0.689 0.056
O29 O 0.869 0.458 0.810
O30 O 0.876 0.644 0.557
O31 O 0.900 0.212 0.061
O32 O 0.921 0.451 0.312
```

Properties
E (MP2020): -8.667 eV/atom
ΔE_f: -2.341 eV/atom

# VO2

A relaxed VO2 crystal (PBE+U, Materials Project).

```
data_VO2
_chemical_formula_sum 'V34 O68'
_cell_length_a 11.358
_cell_length_b 11.507
_cell_length_c 11.511
_cell_angle_alpha 88.98
_cell_angle_beta 87.20
_cell_angle_gamma 87.72
_symmetry_space_group_name_H-M 'P 1'
_symmetry_Int_Tables_number 1
loop_
_symmetry_equiv_pos_as_xyz
'x,y,z'
loop_
_atom_site_label
_atom_site_type_symbol
_atom_site_fract_x
_atom_site_fract_y
_atom_site_fract_z
V1 V 0.000 0.000 0.000
V2 V 0.010 0.287 0.304
V3 V 0.035 0.433 0.841
V4 V 0.074 0.621 0.272
V5 V 0.139 0.923 0.755
V6 V 0.168 0.181 0.792
V7 V 0.180 0.772 0.984
V8 V 0.197 0.333 0.514
V9 V 0.209 0.903 0.381
V10 V 0.247 0.348 0.129
V11 V 0.267 0.135 0.286
V12 V 0.307 0.566 0.178
V13 V 0.320 0.642 0.515
V14 V 0.341 0.413 0.891
V15 V 0.367 0.146 0.988
V16 V 0.385 0.067 0.685
V17 V 0.429 0.451 0.376
V18 V 0.494 0.944 0.301
V19 V 0.518 0.589 0.711
V20 V 0.563 0.667 0.287
V21 V 0.592 0.846 0.737
V22 V 0.604 0.970 0.007
V23 V 0.626 0.659 0.978
V24 V 0.633 0.405 0.951
V25 V 0.661 0.355 0.544
V26 V 0.688 0.819 0.494
V27 V 0.720 0.076 0.694
V28 V 0.782 0.576 0.712
V29 V 0.815 0.076 0.190
V30 V 0.816 0.561 0.429
V31 V 0.851 0.883 0.787
V32 V 0.912 0.307 0.031
V33 V 0.932 0.626 0.029
V34 V 0.968 0.889 0.381
O1 O 0.013 0.855 0.720
O2 O 0.020 0.279 0.892
O3 O 0.063 0.964 0.462
O4 O 0.064 0.358 0.428
O5 O 0.070 0.679 0.948
O6 O 0.077 0.789 0.323
O7 O 0.087 0.045 0.857
O8 O 0.105 0.885 0.060
O9 O 0.143 0.243 0.221
O10 O 0.143 0.514 0.162
O11 O 0.154 0.290 0.659
O12 O 0.182 0.466 0.841
O13 O 0.186 0.014 0.254
O14 O 0.221 0.040 0.672
O15 O 0.234 0.828 0.847
O16 O 0.244 0.629 0.309
O17 O 0.258 0.283 0.969
O18 O 0.261 0.782 0.483
O19 O 0.266 0.217 0.423
O20 O 0.283 0.707 0.073
O21 O 0.292 0.029 0.998
O22 O 0.292 0.462 0.493
O23 O 0.325 0.409 0.257
O24 O 0.339 0.481 0.034
O25 O 0.340 0.169 0.810
O26 O 0.354 0.193 0.146
O27 O 0.361 0.002 0.374
O28 O 0.371 0.651 0.653
O29 O 0.420 0.464 0.769
O30 O 0.460 0.930 0.741
O31 O 0.464 0.598 0.439
O32 O 0.464 0.787 0.291
O33 O 0.475 0.551 0.236
O34 O 0.478 0.132 0.594
O35 O 0.506 0.334 0.932
O36 O 0.517 0.098 0.956
O37 O 0.517 0.990 0.161
O38 O 0.536 0.359 0.435
O39 O 0.551 0.704 0.826
O40 O 0.580 0.825 0.001
O41 O 0.597 0.739 0.606
O42 O 0.601 0.501 0.057
O43 O 0.628 0.911 0.388
O44 O 0.642 0.684 0.162
O45 O 0.655 0.499 0.631
O46 O 0.662 0.515 0.844
O47 O 0.681 0.960 0.832
O48 O 0.683 0.937 0.616
O49 O 0.693 0.668 0.388
O50 O 0.698 0.221 0.635
O51 O 0.724 0.162 0.265
O52 O 0.739 0.002 0.090
O53 O 0.764 0.312 0.982
O54 O 0.783 0.749 0.749
O55 O 0.786 0.414 0.440
O56 O 0.798 0.654 0.968
O57 O 0.843 0.617 0.567
O58 O 0.857 0.829 0.466
O59 O 0.865 0.043 0.720
O60 O 0.895 0.904 0.930
O61 O 0.899 0.961 0.263
O62 O 0.908 0.492 0.756
O63 O 0.925 0.349 0.186
O64 O 0.926 0.140 0.080
O65 O 0.950 0.168 0.351
O66 O 0.950 0.668 0.173
O67 O 0.961 0.465 0.989
O68 O 0.975 0.567 0.377
```

Properties
E (MP2020): -8.571 eV/atom
ΔE_f: -2.244 eV/atom

# V2O5

A relaxed V2O5 crystal (PBE+U, Materials Project).

```
data_V2O5
_chemical_formula_sum 'V2 O5'
_cell_length_a 9.100
_cell_length_b 9.100
_cell_length_c 9.100
_cell_angle_alpha 156.32
_cell_angle_beta 155.64
_cell_angle_gamma 34.23
_symmetry_space_group_name_H-M 'P 1'
_symmetry_Int_Tables_number 1
loop_
_symmetry_equiv_pos_as_xyz
'x,y,z'
loop_
_atom_site_label
_atom_site_type_symbol
_atom_site_fract_x
_atom_site_fract_y
_atom_site_fract_z
V1 V 0.204 0.204 0.000
V2 V 0.796 0.796 0.000
O1 O 0.112 0.112 0.000
O2 O 0.251 0.751 0.500
O3 O 0.500 0.000 0.500
O4 O 0.749 0.249 0.500
O5 O 0.888 0.888 0.000
```

Properties
E (MP2020): -7.779 eV/atom
ΔE_f: -1.649 eV/atom

# V4O7

A relaxed V4O7 crystal (PBE+U, Materials Project).

```
data_V4O7
_chemical_formula_sum 'V8 O14'
_cell_length_a 5.844
_cell_length_b 6.270
_cell_length_c 7.684
_cell_angle_alpha 74.37
_cell_angle_beta 74.91
_cell_angle_gamma 81.30
_symmetry_space_group_name_H-M 'P 1'
_symmetry_Int_Tables_number 1
loop_
_symmetry_equiv_pos_as_xyz
'x,y,z'
loop_
_atom_site_label
_atom_site_type_symbol
_atom_site_fract_x
_atom_site_fract_y
_atom_site_fract_z
V1 V 0.026 0.086 0.162
V2 V 0.153 0.597 0.289
V3 V 0.338 0.163 0.393
V4 V 0.401 0.253 0.741
V5 V 0.599 0.747 0.259
V6 V 0.662 0.837 0.607
V7 V 0.847 0.403 0.711
V8 V 0.974 0.914 0.838
O1 O 0.080 0.312 0.267
O2 O 0.099 0.787 0.078
O3 O 0.179 0.384 0.567
O4 O 0.265 0.869 0.336
O5 O 0.324 0.988 0.666
O6 O 0.329 0.171 0.973
O7 O 0.470 0.469 0.274
O8 O 0.530 0.531 0.726
O9 O 0.671 0.829 0.027
O10 O 0.676 0.012 0.334
O11 O 0.735 0.131 0.664
O12 O 0.821 0.616 0.433
O13 O 0.901 0.213 0.922
O14 O 0.920 0.688 0.733
```

Properties
E (MP2020): -8.767 eV/atom
ΔE_f: -2.315 eV/atom

# V5O9

A relaxed V5O9 crystal (PBE+U, Materials Project).

```
data_V5O9
_chemical_formula_sum 'V20 O36'
_cell_length_a 7.118
_cell_length_b 8.531
_cell_length_c 11.199
_cell_angle_alpha 74.34
_cell_angle_beta 71.63
_cell_angle_gamma 70.52
_symmetry_space_group_name_H-M 'P 1'
_symmetry_Int_Tables_number 1
loop_
_symmetry_equiv_pos_as_xyz
'x,y,z'
loop_
_atom_site_label
_atom_site_type_symbol
_atom_site_fract_x
_atom_site_fract_y
_atom_site_fract_z
V1 V 0.000 0.005 0.246
V2 V 0.000 0.995 0.754
V3 V 0.161 0.197 0.431
V4 V 0.169 0.204 0.921
V5 V 0.176 0.578 0.890
V6 V 0.176 0.585 0.390
V7 V 0.318 0.426 0.116
V8 V 0.326 0.421 0.611
V9 V 0.349 0.791 0.068
V10 V 0.352 0.787 0.571
V11 V 0.496 0.001 0.251
V12 V 0.504 0.999 0.749
V13 V 0.648 0.213 0.429
V14 V 0.651 0.209 0.932
V15 V 0.674 0.579 0.389
V16 V 0.682 0.574 0.884
V17 V 0.824 0.415 0.610
V18 V 0.824 0.422 0.110
V19 V 0.831 0.796 0.079
V20 V 0.839 0.803 0.569
O1 O 0.128 0.367 0.539
O2 O 0.133 0.368 0.042
O3 O 0.146 0.031 0.060
O4 O 0.146 0.680 0.543
O5 O 0.150 0.024 0.563
O6 O 0.152 0.673 0.045
O7 O 0.187 0.759 0.263
O8 O 0.188 0.752 0.764
O9 O 0.195 0.082 0.294
O10 O 0.198 0.410 0.794
O11 O 0.199 0.422 0.282
O12 O 0.201 0.076 0.793
O13 O 0.460 0.459 0.408
O14 O 0.461 0.137 0.374
O15 O 0.464 0.461 0.908
O16 O 0.471 0.127 0.876
O17 O 0.488 0.807 0.389
O18 O 0.495 0.794 0.889
O19 O 0.505 0.206 0.111
O20 O 0.512 0.193 0.611
O21 O 0.529 0.873 0.124
O22 O 0.536 0.539 0.092
O23 O 0.539 0.863 0.626
O24 O 0.540 0.541 0.592
O25 O 0.799 0.924 0.207
O26 O 0.801 0.578 0.718
O27 O 0.802 0.590 0.206
O28 O 0.805 0.918 0.706
O29 O 0.812 0.248 0.236
O30 O 0.813 0.241 0.737
O31 O 0.848 0.327 0.955
O32 O 0.850 0.976 0.437
O33 O 0.854 0.320 0.457
O34 O 0.854 0.969 0.940
O35 O 0.867 0.632 0.958
O36 O 0.872 0.633 0.461
```

Properties
E (MP2020): -8.922 eV/atom
relative energy among the computed polymorphs: 0.000 eV per formula unit
ΔE_f: -2.497 eV/atom

# V2O5

A relaxed V2O5 crystal (PBE+U, Materials Project).

```
data_V2O5
_chemical_formula_sum 'V30 O75'
_cell_length_a 11.385
_cell_length_b 12.569
_cell_length_c 12.628
_cell_angle_alpha 91.68
_cell_angle_beta 93.90
_cell_angle_gamma 92.12
_symmetry_space_group_name_H-M 'P 1'
_symmetry_Int_Tables_number 1
loop_
_symmetry_equiv_pos_as_xyz
'x,y,z'
loop_
_atom_site_label
_atom_site_type_symbol
_atom_site_fract_x
_atom_site_fract_y
_atom_site_fract_z
V1 V 0.000 0.000 0.000
V2 V 0.004 0.002 0.364
V3 V 0.038 0.491 0.576
V4 V 0.068 0.272 0.981
V5 V 0.081 0.076 0.606
V6 V 0.123 0.688 0.883
V7 V 0.139 0.237 0.460
V8 V 0.217 0.328 0.243
V9 V 0.239 0.219 0.801
V10 V 0.263 0.605 0.713
V11 V 0.309 0.868 0.027
V12 V 0.345 0.591 0.247
V13 V 0.386 0.634 0.976
V14 V 0.428 0.170 0.196
V15 V 0.475 0.244 0.731
V16 V 0.530 0.704 0.639
V17 V 0.535 0.253 0.962
V18 V 0.581 0.741 0.382
V19 V 0.598 0.026 0.353
V20 V 0.609 0.106 0.561
V21 V 0.622 0.896 0.814
V22 V 0.651 0.448 0.631
V23 V 0.660 0.546 0.008
V24 V 0.732 0.811 0.031
V25 V 0.788 0.316 0.071
V26 V 0.794 0.053 0.147
V27 V 0.837 0.084 0.726
V28 V 0.874 0.551 0.801
V29 V 0.883 0.675 0.431
V30 V 0.990 0.789 0.191
O1 O 0.002 0.600 0.897
O2 O 0.007 0.950 0.881
O3 O 0.010 0.182 0.558
O4 O 0.027 0.902 0.094
O5 O 0.055 0.891 0.298
O6 O 0.070 0.697 0.145
O7 O 0.072 0.147 0.365
O8 O 0.075 0.338 0.241
O9 O 0.079 0.137 0.005
O10 O 0.087 0.371 0.528
O11 O 0.093 0.987 0.501
O12 O 0.126 0.298 0.852
O13 O 0.135 0.717 0.755
O14 O 0.163 0.580 0.595
O15 O 0.167 0.337 0.063
O16 O 0.169 0.790 0.971
O17 O 0.181 0.102 0.734
O18 O 0.224 0.160 0.536
O19 O 0.245 0.647 0.309
O20 O 0.246 0.307 0.383
O21 O 0.257 0.605 0.879
O22 O 0.275 0.201 0.194
O23 O 0.309 0.452 0.238
O24 O 0.311 0.993 0.991
O25 O 0.321 0.489 0.724
O26 O 0.324 0.270 0.693
O27 O 0.328 0.864 0.156
O28 O 0.340 0.620 0.103
O29 O 0.379 0.693 0.685
O30 O 0.393 0.257 0.874
O31 O 0.415 0.768 0.964
O32 O 0.462 0.055 0.268
O33 O 0.486 0.168 0.059
O34 O 0.486 0.643 0.308
O35 O 0.491 0.129 0.649
O36 O 0.494 0.551 0.944
O37 O 0.496 0.935 0.763
O38 O 0.499 0.272 0.254
O39 O 0.520 0.760 0.505
O40 O 0.543 0.346 0.665
O41 O 0.574 0.572 0.615
O42 O 0.582 0.163 0.442
O43 O 0.588 0.863 0.327
O44 O 0.591 0.213 0.836
O45 O 0.598 0.518 0.151
O46 O 0.610 0.740 0.781
O47 O 0.615 0.895 0.950
O48 O 0.615 0.980 0.508
O49 O 0.644 0.693 0.032
O50 O 0.646 0.368 0.007
O51 O 0.667 0.791 0.693
O52 O 0.705 0.074 0.280
O53 O 0.712 0.546 0.163
O54 O 0.713 0.419 0.524
O55 O 0.717 0.934 0.132
O56 O 0.719 0.686 0.407
O57 O 0.735 0.996 0.781
O58 O 0.741 0.187 0.100
O59 O 0.748 0.151 0.622
O60 O 0.757 0.455 0.737
O61 O 0.776 0.543 0.923
O62 O 0.815 0.802 0.931
O63 O 0.821 0.379 0.183
O64 O 0.843 0.659 0.743
O65 O 0.844 0.772 0.137
O66 O 0.852 0.036 0.013
O67 O 0.876 0.977 0.409
O68 O 0.888 0.176 0.812
O69 O 0.921 0.318 0.998
O70 O 0.923 0.053 0.224
O71 O 0.926 0.763 0.522
O72 O 0.940 0.545 0.482
O73 O 0.944 0.705 0.316
O74 O 0.957 0.019 0.671
O75 O 0.981 0.487 0.702
```

Properties
E (MP2020): -7.898 eV/atom
ΔE_f: -1.769 eV/atom

# V6O13

A relaxed V6O13 crystal (PBE+U, Materials Project).

```
data_V6O13
_chemical_formula_sum 'V12 O26'
_cell_length_a 10.300
_cell_length_b 3.743
_cell_length_c 12.160
_cell_angle_alpha 90.00
_cell_angle_beta 100.85
_cell_angle_gamma 90.00
_symmetry_space_group_name_H-M 'P 1'
_symmetry_Int_Tables_number 1
loop_
_symmetry_equiv_pos_as_xyz
'x,y,z'
loop_
_atom_site_label
_atom_site_type_symbol
_atom_site_fract_x
_atom_site_fract_y
_atom_site_fract_z
V1 V 0.001 0.250 0.400
V2 V 0.002 0.750 0.897
V3 V 0.364 0.250 0.163
V4 V 0.364 0.750 0.663
V5 V 0.365 0.250 0.463
V6 V 0.365 0.750 0.964
V7 V 0.635 0.250 0.036
V8 V 0.635 0.750 0.537
V9 V 0.636 0.250 0.337
V10 V 0.636 0.750 0.837
V11 V 0.998 0.250 0.103
V12 V 0.999 0.750 0.600
O1 O 0.000 0.250 0.246
O2 O 0.000 0.250 0.572
O3 O 0.000 0.250 0.934
O4 O 0.000 0.750 0.066
O5 O 0.000 0.750 0.428
O6 O 0.000 0.750 0.754
O7 O 0.198 0.250 0.136
O8 O 0.198 0.250 0.426
O9 O 0.198 0.750 0.637
O10 O 0.198 0.750 0.928
O11 O 0.385 0.250 0.630
O12 O 0.385 0.750 0.130
O13 O 0.409 0.250 0.310
O14 O 0.409 0.750 0.811
O15 O 0.410 0.750 0.503
O16 O 0.411 0.250 0.003
O17 O 0.589 0.750 0.997
O18 O 0.590 0.250 0.497
O19 O 0.591 0.250 0.189
O20 O 0.591 0.750 0.690
O21 O 0.615 0.250 0.870
O22 O 0.615 0.750 0.370
O23 O 0.802 0.250 0.072
O24 O 0.802 0.250 0.363
O25 O 0.802 0.750 0.574
O26 O 0.802 0.750 0.864
```

Properties
E (MP2020): -8.648 eV/atom
relative energy among the computed polymorphs: 0.000 eV per formula unit
ΔE_f: -2.393 eV/atom